Record 1
Crystalline ThB2Ru2 at its relaxed geometry, computed with PBE.

a b c (Å): 6.466 6.466 14.697
angles (deg): 102.71 102.71 90.00
Atoms (fractional coordinates):
Th 0.125 0.375 0.250
Th 0.125 0.875 0.250
Th 0.125 0.875 0.750
Th 0.625 0.375 0.250
Th 0.625 0.875 0.750
Th 0.625 0.875 0.250
Th 0.625 0.375 0.750
Th 0.125 0.375 0.750
B 0.416 0.248 0.559
B 0.144 0.311 0.559
B 0.561 0.166 0.059
B 0.334 0.939 0.941
B 0.834 0.502 0.941
B 0.498 0.894 0.059
B 0.606 0.002 0.941
B 0.106 0.439 0.941
B 0.189 0.356 0.441
B 0.689 0.584 0.441
B 0.252 0.084 0.441
B 0.752 0.856 0.441
B 0.916 0.811 0.559
B 0.644 0.748 0.559
B 0.998 0.666 0.059
B 0.061 0.394 0.059
Ru 0.513 0.286 0.430
Ru 0.917 0.144 0.430
Ru 0.394 0.263 0.930
Ru 0.237 0.106 0.070
Ru 0.737 0.464 0.070
Ru 0.536 0.667 0.930
Ru 0.833 0.964 0.070
Ru 0.333 0.606 0.070
Ru 0.356 0.583 0.570
Ru 0.856 0.487 0.570
Ru 0.214 0.987 0.570
Ru 0.714 0.083 0.570
Ru 0.013 0.644 0.430
Ru 0.417 0.786 0.430
Ru 0.036 0.763 0.930
Ru 0.894 0.167 0.930

## Properties
ΔE_f = 0.00 eV/atom
Raw total energy = -7.863 eV/atom
Calculated volume = 14.6 Å³ per atom
Crystal system = tetragonal

Record 2
Crystalline LiLu2Ru at its relaxed geometry, computed with PBE.

a b c (Å): 4.809 4.809 4.809
angles (deg): 60.00 60.00 60.00
Atoms (fractional coordinates):
Li 0.500 0.500 0.500
Lu 0.250 0.250 0.250
Lu 0.750 0.750 0.750
Ru 0.000 0.000 0.000

## Properties
ΔE_f = -0.36 eV/atom
Raw total energy = -5.418 eV/atom
Calculated volume = 19.7 Å³ per atom
Crystal system = cubic

Record 3
Crystalline Na3CaInP2SO12 at its relaxed geometry, computed with PBE.

a b c (Å): 9.308 9.255 22.996
angles (deg): 90.49 90.00 120.19
Atoms (fractional coordinates):
Na 0.358 0.353 0.246
Na 0.003 0.636 0.245
Na 0.633 0.636 0.745
Na 0.995 0.353 0.746
Na 0.025 0.686 0.579
Na 0.670 0.970 0.578
Na 0.300 0.970 0.078
Na 0.661 0.686 0.079
Na 0.692 0.020 0.913
Na 0.337 0.303 0.912
Na 0.967 0.303 0.412
Na 0.328 0.020 0.413
Na 0.978 0.984 0.498
Na 0.005 0.984 0.998
Na 0.645 0.317 0.832
Na 0.672 0.317 0.332
Na 0.312 0.651 0.165
Na 0.339 0.651 0.665
Ca 0.988 0.993 0.351
Ca 0.005 0.993 0.851
Ca 0.655 0.326 0.684
Ca 0.671 0.326 0.184
Ca 0.322 0.660 0.017
Ca 0.338 0.660 0.517
In 0.002 0.013 0.652
In 0.011 0.013 0.152
In 0.668 0.346 0.985
In 0.678 0.346 0.485
In 0.335 0.679 0.319
In 0.344 0.679 0.819
P 0.296 0.995 0.252
P 0.011 0.308 0.255
P 0.297 0.308 0.755
P 0.699 0.995 0.752
P 0.963 0.328 0.585
P 0.678 0.641 0.588
P 0.964 0.641 0.088
P 0.365 0.328 0.085
P 0.630 0.662 0.919
P 0.344 0.975 0.921
P 0.630 0.975 0.421
P 0.032 0.662 0.419
S 0.693 0.701 0.247
S 0.008 0.701 0.747
S 0.360 0.035 0.581
S 0.675 0.035 0.081
S 0.027 0.368 0.914
S 0.341 0.368 0.414
O 0.212 0.012 0.306
O 0.798 0.786 0.298
O 0.993 0.215 0.310
O 0.222 0.215 0.810
O 0.989 0.786 0.798
O 0.800 0.012 0.806
O 0.779 0.964 0.696
O 0.184 0.217 0.700
O 0.029 0.798 0.693
O 0.768 0.798 0.193
O 0.033 0.217 0.200
O 0.185 0.964 0.196
O 0.879 0.345 0.640
O 0.464 0.120 0.631
O 0.660 0.548 0.644
O 0.889 0.548 0.144
O 0.656 0.120 0.131
O 0.466 0.345 0.140
O 0.446 0.298 0.029
O 0.851 0.551 0.034
O 0.696 0.131 0.026
O 0.435 0.131 0.526
O 0.700 0.551 0.534
O 0.852 0.298 0.529
O 0.546 0.679 0.973
O 0.131 0.453 0.965
O 0.326 0.882 0.977
O 0.555 0.882 0.477
O 0.322 0.453 0.465
O 0.133 0.679 0.473
O 0.112 0.631 0.363
O 0.518 0.884 0.367
O 0.363 0.464 0.360
O 0.102 0.464 0.860
O 0.366 0.884 0.867
O 0.519 0.631 0.863
O 0.021 0.821 0.414
O 0.810 0.011 0.415
O 0.191 0.200 0.411
O 0.009 0.200 0.911
O 0.200 0.011 0.915
O 0.800 0.821 0.914
O 0.974 0.164 0.586
O 0.189 0.012 0.586
O 0.848 0.816 0.588
O 0.968 0.816 0.088
O 0.823 0.012 0.086
O 0.190 0.164 0.086
O 0.688 0.155 0.747
O 0.477 0.344 0.749
O 0.858 0.533 0.744
O 0.676 0.533 0.244
O 0.867 0.344 0.249
O 0.467 0.155 0.247
O 0.640 0.497 0.920
O 0.856 0.345 0.919
O 0.515 0.150 0.921
O 0.635 0.150 0.421
O 0.490 0.345 0.419
O 0.857 0.497 0.420
O 0.355 0.488 0.080
O 0.144 0.677 0.082
O 0.524 0.867 0.078
O 0.342 0.867 0.578
O 0.534 0.677 0.582
O 0.133 0.488 0.580
O 0.307 0.830 0.253
O 0.523 0.679 0.253
O 0.181 0.483 0.254
O 0.302 0.483 0.754
O 0.156 0.679 0.753
O 0.523 0.830 0.753

## Properties
ΔE_f = -2.54 eV/atom
Raw total energy = -6.281 eV/atom
Calculated volume = 14.3 Å³ per atom

Record 4
Crystalline PrFeGe3 at its relaxed geometry, computed with PBE.

a b c (Å): 5.870 5.870 5.870
angles (deg): 136.65 136.65 62.98
Atoms (fractional coordinates):
Pr 0.999 0.999 0.000
Fe 0.665 0.665 0.000
Ge 0.438 0.438 0.000
Ge 0.254 0.754 0.500
Ge 0.754 0.254 0.500

## Properties
ΔE_f = -0.49 eV/atom
Raw total energy = -5.916 eV/atom
Calculated volume = 18.8 Å³ per atom
Crystal system = tetragonal

Record 5
Crystalline BiClO at its relaxed geometry, computed with PBE.

a b c (Å): 3.914 3.914 7.828
angles (deg): 90.00 90.00 90.00
Atoms (fractional coordinates):
Bi 0.000 0.500 0.837
Bi 0.500 0.000 0.163
Cl 0.500 0.000 0.661
Cl 0.000 0.500 0.339
O 0.000 0.000 0.000
O 0.500 0.500 0.000

## Properties
ΔE_f = -1.49 eV/atom
Raw total energy = -4.824 eV/atom
Calculated volume = 20.0 Å³ per atom
Crystal system = tetragonal

Record 6
Crystalline LiMg14Zr at its relaxed geometry, computed with PBE.

a b c (Å): 6.442 6.442 10.076
angles (deg): 90.00 90.00 120.00
Atoms (fractional coordinates):
Li 0.167 0.333 0.625
Mg 0.172 0.836 0.125
Mg 0.168 0.834 0.625
Mg 0.664 0.328 0.125
Mg 0.666 0.332 0.625
Mg 0.664 0.836 0.125
Mg 0.666 0.834 0.625
Mg 0.331 0.169 0.375
Mg 0.331 0.169 0.875
Mg 0.331 0.661 0.375
Mg 0.331 0.661 0.875
Mg 0.839 0.169 0.375
Mg 0.839 0.169 0.875
Mg 0.833 0.667 0.373
Mg 0.833 0.667 0.877
Zr 0.167 0.333 0.125

## Properties
ΔE_f = 0.02 eV/atom
Raw total energy = -2.037 eV/atom
Calculated volume = 22.6 Å³ per atom
Energy above the lowest structure with this stoichiometry = 0 meV/atom
Crystal system = hexagonal

Record 7
Crystalline Dy2AlZn at its relaxed geometry, computed with PBE.

a b c (Å): 5.080 5.080 5.080
angles (deg): 60.00 60.00 60.00
Atoms (fractional coordinates):
Dy 0.750 0.750 0.750
Dy 0.250 0.250 0.250
Al 0.500 0.500 0.500
Zn 0.000 0.000 0.000

## Properties
ΔE_f = -0.38 eV/atom
Raw total energy = -3.935 eV/atom
Calculated volume = 23.2 Å³ per atom
Crystal system = cubic

Record 8
Crystalline Ba2SmMgCu3O7 at its relaxed geometry, computed with PBE.

a b c (Å): 3.765 3.974 14.530
angles (deg): 90.00 90.00 90.00
Atoms (fractional coordinates):
Ba 0.500 0.500 0.779
Ba 0.500 0.500 0.086
Sm 0.500 0.500 0.521
Mg 0.500 0.000 0.276
Cu 0.000 0.000 0.640
Cu 0.000 0.000 0.415
Cu 0.000 0.000 0.936
O 0.000 0.000 0.803
O 0.000 0.000 0.208
O 0.000 0.500 0.629
O 0.000 0.500 0.421
O 0.500 0.000 0.614
O 0.500 0.000 0.409
O 0.000 0.500 0.973

## Properties
ΔE_f = -2.06 eV/atom
Raw total energy = -5.793 eV/atom
Calculated volume = 15.5 Å³ per atom
Energy above the lowest structure with this stoichiometry = 7 meV/atom
Crystal system = orthorhombic

Record 9
Crystalline Cu5As2 at its relaxed geometry, computed with PBE.

a b c (Å): 7.084 7.084 7.084
angles (deg): 133.73 129.86 70.59
Atoms (fractional coordinates):
Cu 0.706 0.896 0.809
Cu 0.294 0.104 0.191
Cu 0.913 0.604 0.309
Cu 0.087 0.396 0.691
Cu 0.269 0.019 0.750
Cu 0.731 0.481 0.750
Cu 0.731 0.981 0.250
Cu 0.269 0.519 0.250
Cu 0.500 0.750 0.250
Cu 0.500 0.250 0.750
As 0.340 0.617 0.723
As 0.660 0.383 0.277
As 0.106 0.883 0.223
As 0.894 0.117 0.777

## Properties
ΔE_f = 0.05 eV/atom
Raw total energy = -4.210 eV/atom
Calculated volume = 13.8 Å³ per atom
Crystal system = orthorhombic

Record 10
Crystalline Ca3MgSi2O8 at its relaxed geometry, computed with PBE.

a b c (Å): 5.351 9.468 13.395
angles (deg): 87.64 90.00 90.00
Atoms (fractional coordinates):
Ca 0.259 0.423 0.902
Ca 0.677 0.223 0.244
Ca 0.823 0.223 0.744
Ca 0.323 0.777 0.756
Ca 0.768 0.924 0.919
Ca 0.241 0.423 0.402
Ca 0.177 0.777 0.256
Ca 0.732 0.924 0.419
Ca 0.232 0.076 0.081
Ca 0.759 0.577 0.598
Ca 0.741 0.577 0.098
Ca 0.268 0.076 0.581
Mg 0.743 0.254 0.996
Mg 0.757 0.254 0.496
Mg 0.243 0.746 0.504
Mg 0.257 0.746 0.004
Si 0.773 0.906 0.641
Si 0.772 0.602 0.868
Si 0.227 0.094 0.359
Si 0.727 0.906 0.141
Si 0.272 0.398 0.632
Si 0.728 0.602 0.368
Si 0.273 0.094 0.859
Si 0.228 0.398 0.132
O 0.029 0.814 0.628
O 0.585 0.696 0.938
O 0.085 0.304 0.562
O 0.186 0.070 0.745
O 0.529 0.186 0.872
O 0.314 0.070 0.245
O 0.044 0.176 0.917
O 0.861 0.597 0.259
O 0.915 0.696 0.438
O 0.297 0.942 0.923
O 0.971 0.186 0.372
O 0.456 0.176 0.417
O 0.797 0.058 0.577
O 0.949 0.323 0.126
O 0.686 0.930 0.755
O 0.139 0.403 0.741
O 0.211 0.553 0.073
O 0.203 0.942 0.423
O 0.789 0.447 0.927
O 0.415 0.304 0.062
O 0.051 0.677 0.874
O 0.361 0.403 0.241
O 0.544 0.824 0.583
O 0.711 0.447 0.427
O 0.814 0.930 0.255
O 0.551 0.323 0.626
O 0.449 0.677 0.374
O 0.471 0.814 0.128
O 0.956 0.824 0.083
O 0.639 0.597 0.759
O 0.703 0.058 0.077
O 0.289 0.553 0.573

## Properties
ΔE_f = -3.38 eV/atom
Raw total energy = -7.137 eV/atom
Calculated volume = 12.1 Å³ per atom
Energy above the lowest structure with this stoichiometry = 0 meV/atom
Crystal system = monoclinic

Record 11
Crystalline TmSbPt at its relaxed geometry, computed with PBE.

a b c (Å): 4.641 4.641 4.641
angles (deg): 60.00 60.00 60.00
Atoms (fractional coordinates):
Tm 0.500 0.500 0.500
Sb 0.000 0.000 0.000
Pt 0.750 0.750 0.750

## Properties
ΔE_f = -1.21 eV/atom
Raw total energy = -6.105 eV/atom
Calculated volume = 23.6 Å³ per atom
Largest piezoelectric modulus = 0.5 C/m²
Crystal system = cubic

Record 12
Crystalline Mg5Ga at its relaxed geometry, computed with PBE.

a b c (Å): 3.124 3.124 15.622
angles (deg): 90.00 90.00 120.00
Atoms (fractional coordinates):
Mg 0.000 0.000 0.841
Mg 0.667 0.333 0.668
Mg 0.000 0.000 0.500
Mg 0.667 0.333 0.332
Mg 0.000 0.000 0.159
Ga 0.667 0.333 0.000

## Properties
ΔE_f = -0.01 eV/atom
Raw total energy = -1.846 eV/atom
Calculated volume = 22.0 Å³ per atom
Energy above the lowest structure with this stoichiometry = 25 meV/atom
Crystal system = hexagonal

Record 13
Crystalline CuO at its relaxed geometry, computed with PBE.

a b c (Å): 2.939 2.939 5.161
angles (deg): 88.19 88.19 87.40
Atoms (fractional coordinates):
Cu 0.000 0.500 0.500
Cu 0.500 0.000 0.000
O 0.486 0.514 0.750
O 0.514 0.486 0.250

## Properties
ΔE_f = -0.94 eV/atom
Raw total energy = -5.123 eV/atom
Calculated volume = 11.1 Å³ per atom
Crystal system = monoclinic